Below is GdYHg2 after structural relaxation, with properties calculated at the PBE level. Values from VASP.

Quantum ESPRESSO input file:
```
&SYSTEM
  ibrav = 0, nat = 4, ntyp = 3
/
ATOMIC_SPECIES
Y 88.91 Y.upf
Hg 200.59 Hg.upf
Gd 157.25 Gd.upf
ATOMIC_POSITIONS angstrom
Y 0.000 0.000 0.000
Hg 3.420 -9.036 -1.185
Hg 1.140 -3.012 -0.395
Gd 2.280 -6.024 -0.790
CELL_PARAMETERS angstrom
4.370 -2.916 -0.689
0.342 -4.817 2.180
-0.151 -4.315 -3.071
```

The space-group type is Fm-3m. For the formation energy, the calculation gives -0.502 eV/atom.